## CuSnF6 (PBE)

Data for a relaxed structure of CuSnF6.

Cell: 5.1779 5.2719 5.4936 Å, 62.64 89.78 62.29°
Fractional coordinates of all 8 atoms:
Cu 0.0000 0.0000 0.0000
Sn 0.5000 0.0000 0.5000
F 0.1293 0.1151 0.2475
F 0.2445 0.1247 0.7535
F 0.3938 0.4674 0.2657
F 0.6062 0.5326 0.7343
F 0.7555 0.8753 0.2465
F 0.8707 0.8849 0.7525

Summary:
Energy with MP2020 corrections: -4.872 eV per atom
Relative energy among the computed polymorphs: 0 meV/atom
V: 14.2 Å³/atom
Crystal system: triclinic
Formation energy from the elements: -2.42 eV per atom